# 1
Na6Mg4Ta20Si21S15O144 | PBE-GGA | optimized geometry

a = 8.8396 Å, b = 15.3212 Å, c = 22.8925 Å
α = 90.00°, β = 90.03°, γ = 90.04°
Space group P1 (No. 1)
Unique sites:
1 Na 0.0000 0.0000 0.0000 x1
2 Na 0.0011 0.6633 0.8338 x1
3 Na 0.5002 0.1653 0.3350 x1
4 Na 0.5019 0.4988 0.5021 x1
5 Na 0.5127 0.1671 0.8344 x1
6 Na 0.9888 0.6636 0.3367 x1
7 Mg 0.0117 0.0048 0.1469 x1
8 Mg 0.4807 0.5020 0.6499 x1
9 Mg 0.5174 0.5013 0.3552 x1
10 Mg 0.9859 0.0014 0.8551 x1
11 Ta 0.0001 0.6581 0.9776 x1
12 Ta 0.0013 0.0060 0.6402 x1
13 Ta 0.0008 0.3382 0.0237 x1
14 Ta 0.0012 0.6629 0.1874 x1
15 Ta 0.0012 0.6642 0.4802 x1
16 Ta 0.0083 0.0041 0.3617 x1
17 Ta 0.0183 0.6602 0.6871 x1
18 Ta 0.4851 0.1617 0.1856 x1
19 Ta 0.4892 0.4963 0.8598 x1
20 Ta 0.4958 0.1669 0.6915 x1
21 Ta 0.4984 0.1652 0.9783 x1
22 Ta 0.5007 0.5056 0.1400 x1
23 Ta 0.5025 0.1580 0.4798 x1
24 Ta 0.5016 0.8386 0.5256 x1
25 Ta 0.5077 0.8334 0.0240 x1
26 Ta 0.5120 0.8311 0.3116 x1
27 Ta 0.5116 0.8312 0.8128 x1
28 Ta 0.9923 0.3314 0.3135 x1
29 Ta 0.9940 0.3326 0.8076 x1
30 Ta 0.9936 0.3339 0.5258 x1
31 Si 0.1412 0.1427 0.2498 x1
32 Si 0.1413 0.4725 0.9160 x1
33 Si 0.1443 0.8086 0.5838 x1
34 Si 0.1585 0.5194 0.5826 x1
35 Si 0.2165 0.1694 0.5839 x1
36 Si 0.2858 0.6700 0.0834 x1
37 Si 0.3462 0.0189 0.0818 x1
38 Si 0.3557 0.3089 0.0830 x1
39 Si 0.3582 0.3575 0.7500 x1
40 Si 0.3616 0.9732 0.4167 x1
41 Si 0.3643 0.6418 0.7504 x1
42 Si 0.6433 0.0234 0.5867 x1
43 Si 0.6440 0.6407 0.2520 x1
44 Si 0.6452 0.6884 0.9182 x1
45 Si 0.6530 0.9763 0.9173 x1
46 Si 0.7154 0.3317 0.9168 x1
47 Si 0.7904 0.8309 0.4183 x1
48 Si 0.8498 0.4763 0.4179 x1
49 Si 0.8531 0.1920 0.4191 x1
50 Si 0.8578 0.1395 0.7523 x1
51 Si 0.8579 0.5213 0.0839 x1
52 S 0.1421 0.1877 0.9176 x1
53 S 0.1449 0.8549 0.2513 x1
54 S 0.2149 0.4986 0.2520 x1
55 S 0.2150 0.8341 0.9178 x1
56 S 0.2864 0.9974 0.7521 x1
57 S 0.2873 0.3342 0.4178 x1
58 S 0.3586 0.6879 0.4174 x1
59 S 0.6406 0.3103 0.5839 x1
60 S 0.6429 0.3541 0.2510 x1
61 S 0.7131 0.6637 0.5840 x1
62 S 0.7161 0.9993 0.2501 x1
63 S 0.7849 0.5004 0.7493 x1
64 S 0.7875 0.1638 0.0838 x1
65 S 0.8598 0.8540 0.7507 x1
66 S 0.8606 0.8101 0.0839 x1
67 O 0.0626 0.4289 0.8603 x1
68 O 0.0659 0.7634 0.5268 x1
69 O 0.0668 0.1032 0.1938 x1
70 O 0.0672 0.4275 0.5725 x1
71 O 0.0690 0.5719 0.9247 x1
72 O 0.0707 0.5663 0.6399 x1
73 O 0.0735 0.8935 0.3038 x1
74 O 0.0742 0.9028 0.5996 x1
75 O 0.0770 0.7642 0.2452 x1
76 O 0.0783 0.2290 0.9708 x1
77 O 0.0814 0.2421 0.2661 x1
78 O 0.0828 0.0995 0.9123 x1
79 O 0.1041 0.5842 0.5281 x1
80 O 0.1083 0.2513 0.5717 x1
81 O 0.1094 0.7461 0.6409 x1
82 O 0.1106 0.4156 0.9754 x1
83 O 0.1127 0.0805 0.3083 x1
84 O 0.1127 0.4221 0.2583 x1
85 O 0.1126 0.5790 0.2432 x1
86 O 0.1162 0.0808 0.5932 x1
87 O 0.1172 0.7540 0.9250 x1
88 O 0.1195 0.2423 0.8651 x1
89 O 0.1202 0.9049 0.1983 x1
90 O 0.1205 0.9109 0.9103 x1
91 O 0.1691 0.0081 0.0863 x1
92 O 0.1711 0.6541 0.7445 x1
93 O 0.1742 0.6544 0.0277 x1
94 O 0.1751 0.3139 0.0729 x1
95 O 0.1790 0.3411 0.7667 x1
96 O 0.1789 0.6822 0.1415 x1
97 O 0.1798 0.9837 0.4081 x1
98 O 0.1886 0.6830 0.4229 x1
99 O 0.1912 0.3172 0.3645 x1
100 O 0.1931 0.3449 0.4707 x1
101 O 0.1956 0.9842 0.6985 x1
102 O 0.1966 0.0126 0.8043 x1
103 O 0.3038 0.5143 0.3040 x1
104 O 0.3055 0.4855 0.1985 x1
105 O 0.3094 0.8167 0.8650 x1
106 O 0.3089 0.8447 0.9712 x1
107 O 0.3102 0.8428 0.2617 x1
108 O 0.3134 0.1822 0.9243 x1
109 O 0.3216 0.4859 0.9110 x1
110 O 0.3231 0.1818 0.6407 x1
111 O 0.3258 0.1539 0.5267 x1
112 O 0.3258 0.8139 0.5721 x1
113 O 0.3327 0.1538 0.2447 x1
114 O 0.3357 0.5122 0.5828 x1
115 O 0.3809 0.4112 0.4094 x1
116 O 0.3821 0.4093 0.6919 x1
117 O 0.3844 0.2541 0.4241 x1
118 O 0.3843 0.5811 0.0943 x1
119 O 0.3839 0.7439 0.3642 x1
120 O 0.3873 0.9203 0.7587 x1
121 O 0.3881 0.0764 0.7439 x1
122 O 0.3882 0.5818 0.8090 x1
123 O 0.3910 0.2468 0.1411 x1
124 O 0.3912 0.9148 0.4748 x1
125 O 0.3943 0.7519 0.0730 x1
126 O 0.3951 0.0847 0.0282 x1
127 O 0.4193 0.6005 0.4104 x1
128 O 0.4205 0.7428 0.7666 x1
129 O 0.4246 0.7293 0.4698 x1
130 O 0.4277 0.4029 0.1004 x1
131 O 0.4300 0.2561 0.7442 x1
132 O 0.4318 0.0664 0.1402 x1
133 O 0.4321 0.0720 0.4241 x1
134 O 0.4334 0.9276 0.3592 x1
135 O 0.4361 0.9267 0.0727 x1
136 O 0.4366 0.2634 0.0274 x1
137 O 0.4367 0.4003 0.8090 x1
138 O 0.4366 0.6088 0.6923 x1
139 O 0.5655 0.0704 0.6412 x1
140 O 0.5668 0.0718 0.9267 x1
141 O 0.5672 0.7394 0.2599 x1
142 O 0.5667 0.9309 0.8603 x1
143 O 0.5704 0.5942 0.1934 x1
144 O 0.5705 0.7353 0.9747 x1
145 O 0.5704 0.9272 0.5752 x1
146 O 0.5734 0.3890 0.3033 x1
147 O 0.5758 0.2667 0.5306 x1
148 O 0.5791 0.5934 0.9048 x1
149 O 0.5811 0.3971 0.5890 x1
150 O 0.5856 0.2625 0.2420 x1
151 O 0.6038 0.9140 0.9734 x1
152 O 0.6063 0.2462 0.9266 x1
153 O 0.6110 0.9222 0.2599 x1
154 O 0.6150 0.4182 0.9066 x1
155 O 0.6151 0.7523 0.8609 x1
156 O 0.6161 0.0824 0.5270 x1
157 O 0.6170 0.0787 0.2447 x1
158 O 0.6173 0.2545 0.6363 x1
159 O 0.6178 0.4076 0.1983 x1
160 O 0.6179 0.7427 0.5739 x1
161 O 0.6232 0.5853 0.5886 x1
162 O 0.6258 0.5845 0.3087 x1
163 O 0.6697 0.1835 0.4247 x1
164 O 0.6711 0.4832 0.4158 x1
165 O 0.6760 0.1552 0.7378 x1
166 O 0.6784 0.5102 0.0948 x1
167 O 0.6785 0.8432 0.4739 x1
168 O 0.6795 0.8161 0.3601 x1
169 O 0.6892 0.8462 0.7576 x1
170 O 0.6895 0.1526 0.0309 x1
171 O 0.6921 0.1799 0.1369 x1
172 O 0.6927 0.8144 0.0778 x1
173 O 0.6971 0.5152 0.8031 x1
174 O 0.7008 0.4854 0.6968 x1
175 O 0.8021 0.9822 0.1975 x1
176 O 0.8080 0.0117 0.3033 x1
177 O 0.8082 0.6812 0.6362 x1
178 O 0.8100 0.3138 0.5765 x1
179 O 0.8120 0.6538 0.5302 x1
180 O 0.8132 0.3462 0.2580 x1
181 O 0.8234 0.3149 0.8604 x1
182 O 0.8237 0.0094 0.5943 x1
183 O 0.8243 0.3414 0.9749 x1
184 O 0.8278 0.6603 0.2387 x1
185 O 0.8307 0.6849 0.9262 x1
186 O 0.8319 0.9827 0.9163 x1
187 O 0.8766 0.0825 0.8086 x1
188 O 0.8777 0.0849 0.0896 x1
189 O 0.8837 0.2421 0.0755 x1
190 O 0.8846 0.9075 0.6982 x1
191 O 0.8859 0.5838 0.0272 x1
192 O 0.8871 0.2510 0.3602 x1
193 O 0.8872 0.5805 0.7438 x1
194 O 0.8866 0.7538 0.1371 x1
195 O 0.8901 0.4239 0.7583 x1
196 O 0.8907 0.9160 0.4019 x1
197 O 0.8966 0.7453 0.4247 x1
198 O 0.8985 0.4133 0.4731 x1
199 O 0.9167 0.7624 0.7418 x1
200 O 0.9232 0.0951 0.4058 x1
201 O 0.9233 0.8969 0.0925 x1
202 O 0.9273 0.7687 0.0317 x1
203 O 0.9294 0.2383 0.7595 x1
204 O 0.9289 0.8887 0.8035 x1
205 O 0.9329 0.2348 0.4749 x1
206 O 0.9332 0.4264 0.0762 x1
207 O 0.9340 0.0930 0.6936 x1
208 O 0.9338 0.5700 0.1406 x1
209 O 0.9346 0.4302 0.3602 x1
210 O 0.9360 0.5722 0.4259 x1

Calculated values
ρ   3.9 g/cm³
MP2020-corrected energy   -8.25 eV per atom
Total DFT energy (no corrections)   -7.78 eV/atom
Formation enthalpy at 0 K   -2.82 eV/atom



# 2
PrRhO3 | PBE-GGA | optimized geometry

a = 5.9170 Å, b = 7.8922 Å, c = 5.4447 Å
α = 90.00°, β = 90.00°, γ = 90.00°
Space group Pnma (No. 62)
Unique sites:
1 Pr 0.0768 0.2500 0.0249 x4
2 Rh 0.0000 0.0000 0.5000 x4
3 O 0.0351 0.7500 0.3889 x4
4 O 0.1963 0.5537 0.8147 x8

Calculated values
ρ   7.6 g/cm³
MP2020-corrected energy   -7.87 eV per atom
Total DFT energy (no corrections)   -7.46 eV/atom
Formation enthalpy at 0 K   -2.47 eV/atom



# 3
Zn3P2O12 | PBE-GGA | optimized geometry

a = 5.1579 Å, b = 5.9292 Å, c = 7.8437 Å
α = 93.44°, β = 95.95°, γ = 90.37°
Space group P-1 (No. 2)
Unique sites:
1 Zn 0.0000 0.0000 0.0000 x1
2 Zn 0.1724 0.7423 0.3874 x2
3 P 0.2933 0.2431 0.3678 x2
4 O 0.1816 0.2485 0.5425 x2
5 O 0.1888 0.0226 0.2597 x2
6 O 0.2109 0.4502 0.2659 x2
7 O 0.2968 0.7997 0.9433 x2
8 O 0.3052 0.1587 0.9159 x2
9 O 0.4072 0.7647 0.6019 x2

Calculated values
Offset from the most stable computed form   112 meV per atom
ρ   3.1 g/cm³
MP2020-corrected energy   -5.73 eV per atom
Total DFT energy (no corrections)   -5.25 eV/atom
Formation enthalpy at 0 K   -1.38 eV/atom



# 4
La2Nb2N2O5 | PBE-GGA | optimized geometry

a = 4.0454 Å, b = 26.7242 Å, c = 5.6988 Å
α = 90.00°, β = 90.00°, γ = 90.00°
Space group Cmc2_1 (No. 36)
Unique sites:
1 La 0.0000 0.0528 0.0000 x4
2 La 0.0000 0.2055 0.5735 x4
3 Nb 0.0000 0.3382 0.5272 x4
4 Nb 0.0000 0.4418 0.0013 x4
5 N 0.0000 0.0460 0.4641 x4
6 N 0.0000 0.1536 0.9816 x4
7 O 0.0000 0.2798 0.3056 x4
8 O 0.0000 0.2964 0.8036 x4
9 O 0.0000 0.3823 0.1818 x4
10 O 0.0000 0.4097 0.6697 x4
11 O 0.0000 0.4857 0.2884 x4

Calculated values
Offset from the most stable computed form   8 meV per atom
ρ   6.2 g/cm³
MP2020-corrected energy   -9.29 eV per atom
Total DFT energy (no corrections)   -8.98 eV/atom
Formation enthalpy at 0 K   -2.79 eV/atom



# 5
Si3Ir | PBE-GGA | optimized geometry

a = 4.7776 Å, b = 4.7776 Å, c = 6.4228 Å
α = 90.00°, β = 90.00°, γ = 120.00°
Space group P6_3mc (No. 186)
Unique sites:
1 Si 0.1673 0.3346 0.0000 x6
2 Ir 0.3333 0.6667 0.6732 x2

Calculated values
ρ   7.2 g/cm³
Total DFT energy (no corrections)   -6.21 eV/atom
Formation enthalpy at 0 K   0.07 eV/atom



# 6
NaTi2Zn2PS5O24 | PBE-GGA | optimized geometry

a = 8.6365 Å, b = 8.6512 Å, c = 22.3702 Å
α = 89.86°, β = 89.69°, γ = 60.10°
Space group P1 (No. 1)
Unique sites:
1 Na 0.0000 0.0000 0.0000 x1
2 Na 0.0019 0.9946 0.5042 x1
3 Na 0.6671 0.6613 0.1691 x1
4 Ti 0.0022 0.9897 0.3562 x1
5 Ti 0.3344 0.3315 0.6892 x1
6 Ti 0.3404 0.3198 0.9779 x1
7 Ti 0.3433 0.3211 0.1885 x1
8 Ti 0.6602 0.6616 0.0201 x1
9 Ti 0.6767 0.6656 0.5218 x1
10 Zn 0.0000 0.9969 0.8453 x1
11 Zn 0.0010 0.0028 0.1437 x1
12 Zn 0.0024 0.9947 0.6499 x1
13 Zn 0.3298 0.3345 0.4777 x1
14 Zn 0.6675 0.6621 0.8096 x1
15 Zn 0.6713 0.6599 0.3167 x1
16 P 0.3356 0.0413 0.0819 x1
17 P 0.6201 0.3278 0.0816 x1
18 P 0.9581 0.6587 0.4141 x1
19 S 0.0003 0.2871 0.2476 x1
20 S 0.0006 0.7028 0.7480 x1
21 S 0.0447 0.3269 0.5814 x1
22 S 0.0470 0.6136 0.0813 x1
23 S 0.2906 0.7056 0.2474 x1
24 S 0.2947 0.9963 0.7478 x1
25 S 0.3355 0.6204 0.5810 x1
26 S 0.3755 0.6620 0.9160 x1
27 S 0.3784 0.9517 0.4152 x1
28 S 0.6232 0.0418 0.5808 x1
29 S 0.6683 0.3722 0.4152 x1
30 S 0.6692 0.9503 0.9162 x1
31 S 0.7076 0.2892 0.7479 x1
32 S 0.7133 0.9936 0.2475 x1
33 S 0.9575 0.3739 0.9167 x1
34 O 0.0136 0.1757 0.5890 x1
35 O 0.0272 0.7912 0.0854 x1
36 O 0.0297 0.1738 0.3014 x1
37 O 0.0451 0.7705 0.8019 x1
38 O 0.1257 0.3588 0.6350 x1
39 O 0.1270 0.5042 0.1357 x1
40 O 0.1357 0.3575 0.9281 x1
41 O 0.1421 0.5100 0.4258 x1
42 O 0.1517 0.2966 0.5275 x1
43 O 0.1554 0.5271 0.0272 x1
44 O 0.1665 0.5198 0.7369 x1
45 O 0.1676 0.3002 0.2397 x1
46 O 0.1734 0.0187 0.0849 x1
47 O 0.1761 0.7921 0.3019 x1
48 O 0.1818 0.0408 0.8020 x1
49 O 0.1816 0.8013 0.5889 x1
50 O 0.1937 0.9660 0.4088 x1
51 O 0.1991 0.8233 0.9139 x1
52 O 0.2125 0.8133 0.1937 x1
53 O 0.2151 0.9665 0.6948 x1
54 O 0.3005 0.5278 0.2406 x1
55 O 0.3047 0.5425 0.5278 x1
56 O 0.3112 0.1624 0.7363 x1
57 O 0.3145 0.1576 0.0261 x1
58 O 0.3513 0.1287 0.4244 x1
59 O 0.3570 0.5026 0.9276 x1
60 O 0.3635 0.5069 0.6351 x1
61 O 0.3647 0.1312 0.1377 x1
62 O 0.4581 0.8332 0.4686 x1
63 O 0.4687 0.6862 0.9706 x1
64 O 0.4715 0.6779 0.2553 x1
65 O 0.4741 0.8461 0.7558 x1
66 O 0.4778 0.8748 0.3601 x1
67 O 0.4844 0.6290 0.8629 x1
68 O 0.5013 0.3612 0.1381 x1
69 O 0.5024 0.6321 0.5730 x1
70 O 0.5065 0.1316 0.9263 x1
71 O 0.5102 0.8570 0.0737 x1
72 O 0.5109 0.1235 0.6348 x1
73 O 0.5219 0.3121 0.0261 x1
74 O 0.5219 0.3389 0.4248 x1
75 O 0.5244 0.3058 0.7368 x1
76 O 0.5332 0.1637 0.2411 x1
77 O 0.5453 0.1469 0.5269 x1
78 O 0.6338 0.5011 0.0736 x1
79 O 0.6335 0.8613 0.5737 x1
80 O 0.6357 0.8777 0.8628 x1
81 O 0.6397 0.4741 0.3604 x1
82 O 0.6778 0.4688 0.7557 x1
83 O 0.6799 0.8444 0.2540 x1
84 O 0.6900 0.8379 0.9705 x1
85 O 0.7041 0.4547 0.4682 x1
86 O 0.7747 0.1770 0.8019 x1
87 O 0.7962 0.0231 0.3015 x1
88 O 0.8026 0.1637 0.0846 x1
89 O 0.8057 0.0101 0.5879 x1
90 O 0.8167 0.2093 0.6945 x1
91 O 0.8198 0.9662 0.1934 x1
92 O 0.8281 0.9707 0.9135 x1
93 O 0.8300 0.6979 0.4705 x1
94 O 0.8402 0.1903 0.4080 x1
95 O 0.8403 0.4670 0.9709 x1
96 O 0.8466 0.4678 0.2540 x1
97 O 0.8503 0.6729 0.7559 x1
98 O 0.8638 0.4950 0.5736 x1
99 O 0.8668 0.6281 0.0749 x1
100 O 0.8766 0.6361 0.3582 x1
101 O 0.8839 0.4799 0.8632 x1
102 O 0.9676 0.8396 0.4067 x1
103 O 0.9715 0.2096 0.1935 x1
104 O 0.9716 0.8113 0.6946 x1
105 O 0.9757 0.1957 0.9144 x1

Calculated values
ρ   2.8 g/cm³
MP2020-corrected energy   -6.94 eV per atom
Total DFT energy (no corrections)   -6.47 eV/atom
Formation enthalpy at 0 K   -2.24 eV/atom



Q: Look up the total DFT energy (no corrections) of the third one.
A: -5.25 eV/atom